The following is a DFT calculation (PBE) of a geometry-optimized Na5SnP3 structure.

Cell: 8.351 7.493 15.744 Å, 90.00 121.67 90.00°
Space group P2_1/c (No. 14)
Inequivalent atoms, fractional coordinates:
Na: 0.005 0.160 0.082 x4
Na: 0.093 0.004 0.760 x4
Na: 0.253 0.522 0.088 x4
Na: 0.315 0.642 0.742 x4
Na: 0.412 0.040 0.089 x4
Sn: 0.339 0.147 0.411 x4
P: 0.062 0.232 0.918 x4
P: 0.335 0.702 0.929 x4
P: 0.361 0.245 0.264 x4

Values from the calculation:
energy of formation	-0.364	eV/atom